[1]
## BaVPO6 (r²SCAN)

Data for a geometry-optimized BaVPO6 structure.

* space group: P2_1/c (14)

Cell and atoms, written as POSCAR:
```
BaVPO6
1.0
5.721 0.000 0.000
0.000 10.038 0.000
-0.178 0.000 8.699
Ba V P O
4 4 4 24
direct
0.147 0.191 0.087
0.147 0.309 0.587
0.853 0.691 0.413
0.853 0.809 0.913
0.347 0.588 0.084
0.347 0.912 0.584
0.653 0.088 0.416
0.653 0.412 0.916
0.349 0.616 0.719
0.349 0.884 0.219
0.651 0.116 0.781
0.651 0.384 0.281
0.097 0.631 0.158
0.097 0.869 0.658
0.131 0.585 0.625
0.131 0.915 0.125
0.287 0.669 0.882
0.287 0.831 0.382
0.312 0.068 0.514
0.312 0.432 0.014
0.489 0.017 0.234
0.489 0.483 0.734
0.494 0.224 0.853
0.494 0.276 0.353
0.506 0.724 0.647
0.506 0.776 0.147
0.511 0.517 0.266
0.511 0.983 0.766
0.688 0.568 0.986
0.688 0.932 0.486
0.713 0.169 0.618
0.713 0.331 0.118
0.869 0.085 0.875
0.869 0.415 0.375
0.903 0.131 0.342
0.903 0.369 0.842
```


[2]
## BaPaO3 (r²SCAN)

Data for a geometry-optimized BaPaO3 structure.

* space group: Pm-3m (221)

Cell and atoms, written as POSCAR:
```
BaPaO3
1.0
4.494 0.000 0.000
0.000 4.494 0.000
0.000 0.000 4.494
Ba Pa O
1 1 3
direct
0.000 0.000 0.000
0.500 0.500 0.500
0.000 0.500 0.500
0.500 0.000 0.500
0.500 0.500 0.000
```


[3]
## Ba2YPaO6 (r²SCAN)

Data for a geometry-optimized Ba2YPaO6 structure.

* space group: Fm-3m (225)

Cell and atoms, written as POSCAR:
```
Ba2YPaO6
1.0
0.000 4.404 4.404
4.404 0.000 4.404
4.404 4.404 0.000
Ba Y Pa O
2 1 1 6
direct
0.250 0.250 0.250
0.750 0.750 0.750
0.000 0.000 0.000
0.500 0.500 0.500
0.254 0.254 0.746
0.254 0.746 0.254
0.254 0.746 0.746
0.746 0.254 0.254
0.746 0.254 0.746
0.746 0.746 0.254
```


[4]
## Ba3PbO (r²SCAN)

Data for a geometry-optimized Ba3PbO structure.

* space group: Pm-3m (221)

Cell and atoms, written as POSCAR:
```
Ba3PbO
1.0
5.522 0.000 0.000
0.000 5.522 0.000
0.000 0.000 5.522
Ba Pb O
3 1 1
direct
0.000 0.000 0.500
0.000 0.500 0.000
0.500 0.000 0.000
0.500 0.500 0.500
0.000 0.000 0.000
```


[5]
## BaPr2O4 (r²SCAN)

Data for a geometry-optimized BaPr2O4 structure.

* space group: Pnma (62)

Cell and atoms, written as POSCAR:
```
BaPr2O4
1.0
10.692 0.000 0.000
0.000 3.655 0.000
0.000 0.000 12.616
Ba Pr O
4 8 16
direct
0.250 0.250 0.148
0.250 0.750 0.648
0.750 0.250 0.352
0.750 0.750 0.852
0.075 0.250 0.887
0.082 0.250 0.389
0.418 0.750 0.889
0.425 0.750 0.387
0.575 0.250 0.613
0.582 0.250 0.111
0.918 0.750 0.611
0.925 0.750 0.113
0.014 0.750 0.782
0.070 0.250 0.577
0.125 0.750 0.017
0.213 0.750 0.327
0.287 0.250 0.827
0.375 0.250 0.517
0.430 0.750 0.077
0.486 0.250 0.282
0.514 0.750 0.718
0.570 0.250 0.923
0.625 0.750 0.483
0.713 0.750 0.173
0.787 0.250 0.673
0.875 0.250 0.983
0.930 0.750 0.423
0.986 0.250 0.218
```


[6]
## BaPuO3 (r²SCAN)

Data for a geometry-optimized BaPuO3 structure.

* space group: Pnma (62)

Cell and atoms, written as POSCAR:
```
BaPuO3
1.0
6.218 0.000 0.000
0.000 8.748 0.000
0.000 0.000 6.221
Ba Pu O
4 4 12
direct
0.020 0.250 0.005
0.480 0.750 0.505
0.520 0.250 0.495
0.980 0.750 0.995
0.000 0.000 0.500
0.000 0.500 0.500
0.500 0.000 0.000
0.500 0.500 0.000
0.018 0.750 0.430
0.227 0.536 0.770
0.227 0.964 0.770
0.273 0.036 0.270
0.273 0.464 0.270
0.482 0.250 0.930
0.518 0.750 0.070
0.727 0.536 0.730
0.727 0.964 0.730
0.773 0.036 0.230
0.773 0.464 0.230
0.982 0.250 0.570
```


| no. | calculated total energy (eV/atom) | magnetization (Bohr magnetons per cell) | energy of formation from the pure elements (eV/atom) |
| --- | --- | --- | --- |
| 1 | -12.2987 | 0.0 | -2.81 |
| 2 | -27.7199 | 1.0 | -3.47 |
| 3 | -22.2179 | 0.0 | -3.62 |
| 4 | -29.8757 | 0.0 | -1.52 |
| 5 | -18.9577 | 0.0 | -3.36 |
| 6 | -29.5376 | 16.0 | -3.38 |